Record 1
VASP calculation (PBE) on an optimized crystal structure of ErGeRh2.

Output
total DFT energy (no corrections)	-6.85	eV/atom

abc: 5.5813 5.5813 15.4898
angles: 90.00 90.00 120.00
Last column: nearest neighbours and their distance in Å.
Space group P6_3/mmc (No. 194)
Unique sites:
Er 0.3333 0.6667 0.0382 [4 per cell]  9 Rh 3.02-3.11, 3 Ge 3.28, 1 Er 3.28
Er 0.3333 0.6667 0.2500 [2 per cell]  6 Ge 3.22, 2 Er 3.28, 12 Rh 3.38
Ge 0.0000 0.0000 0.0000 [2 per cell]  6 Rh 2.55
Ge 0.0000 0.0000 0.2500 [2 per cell]  6 Rh 2.51
Ge 0.3333 0.6667 0.7500 [2 per cell]  6 Rh 2.48
Rh 0.1684 0.3368 0.6271 [12 per cell]  3 Ge 2.48-2.55, 2 Rh 2.76



Record 2
VASP calculation (PBE) on an optimized crystal structure of VCo3.

Output
total DFT energy (no corrections)	-7.77	eV/atom

abc: 3.5200 3.5200 3.5200
angles: 90.00 90.00 90.00
Last column: nearest neighbours and their distance in Å.
Space group Pm-3m (No. 221)
Unique sites:
V 0.0000 0.0000 0.0000 [1 per cell]  12 Co 2.49
Co 0.0000 0.5000 0.5000 [3 per cell]  8 Co 2.49, 4 V 2.49



Record 3
VASP calculation (PBE) on an optimized crystal structure of Pr7O12.

Output
total DFT energy (no corrections)	-7.86	eV/atom

abc: 10.6319 10.6319 9.8669
angles: 90.00 90.00 120.00
Last column: nearest neighbours and their distance in Å.
Space group R-3 (No. 148, hexagonal axes)
Unique sites:
Pr 0.0000 0.0000 0.0000 [3 per cell]  6 O 2.37
Pr 0.0483 0.2588 0.6507 [18 per cell]  7 O 2.40-2.62
O 0.0389 0.2204 0.3994 [18 per cell]  4 Pr 2.40-2.51
O 0.0461 0.2190 0.8934 [18 per cell]  4 Pr 2.37-2.62



Record 4
VASP calculation (PBE) on an optimized crystal structure of VReMo.

Output
total DFT energy (no corrections)	-10.92	eV/atom

abc: 3.0869 4.4429 12.9885
angles: 90.00 90.00 90.00
Last column: nearest neighbours and their distance in Å.
Space group Fmm2 (No. 42)
Unique sites:
V 0.0000 0.0000 0.0000 [4 per cell]  2 Re 2.60, 2 Mo 2.65, 4 V 2.71
Re 0.0000 0.0000 0.3393 [4 per cell]  2 V 2.60, 4 Re 2.71, 2 Mo 2.73
Mo 0.0000 0.0000 0.6656 [4 per cell]  2 V 2.65, 4 Mo 2.71, 2 Re 2.73



Record 5
VASP calculation (PBE) on an optimized crystal structure of Mg14GaNi.

Output
total DFT energy (no corrections)	-1.96	eV/atom

abc: 9.9262 6.2562 10.7398
angles: 90.00 90.00 90.00
Last column: nearest neighbours and their distance in Å.
Space group Amm2 (No. 38)
Unique sites:
Mg 0.0000 0.0000 0.0000 [2 per cell]  12 Mg 3.07-3.22
Mg 0.0000 0.0000 0.4993 [2 per cell]  12 Mg 3.10-3.19
Mg 0.0000 0.2490 0.2478 [4 per cell]  12 Mg 3.08-3.24
Mg 0.2515 0.0000 0.8336 [4 per cell]  1 Ga 3.01, 11 Mg 3.04-3.16
Mg 0.2602 0.0000 0.3367 [4 per cell]  1 Ni 2.93, 11 Mg 2.99-3.21
Mg 0.2693 0.2455 0.5771 [8 per cell]  1 Ni 2.89, 1 Ga 2.93, 9 Mg 2.97-3.22
Mg 0.5000 0.2489 0.7531 [4 per cell]  8 Mg 2.97-3.14, 2 Ga 3.02-3.20, 2 Ni 3.05-3.17
Ga 0.5000 0.0000 0.9940 [2 per cell]  10 Mg 2.93-3.20, 2 Ni 3.13
Ni 0.5000 0.0000 0.4964 [2 per cell]  10 Mg 2.89-3.17, 2 Ga 3.13



Record 6
VASP calculation (PBE) on an optimized crystal structure of Ca7Sn6.

Output
total DFT energy (no corrections)	-3.57	eV/atom

abc: 7.9369 23.9069 8.5066
angles: 90.00 90.00 90.00
Last column: nearest neighbours and their distance in Å.
Space group Pnma (No. 62)
Unique sites:
Ca 0.0033 0.1636 0.1748 [8 per cell]  6 Sn 3.17-3.37
Ca 0.1658 0.7500 0.4938 [4 per cell]  4 Sn 3.13-3.49
Ca 0.1696 0.0215 0.3258 [8 per cell]  7 Sn 3.27-3.62
Ca 0.1714 0.1475 0.6798 [8 per cell]  7 Sn 3.35-3.53
Sn 0.9997 0.0581 0.9445 [8 per cell]  2 Sn 2.93-2.96, 2 Ca 3.19-3.27
Sn 0.0419 0.7500 0.1353 [4 per cell]  1 Sn 2.91, 2 Ca 3.18-3.20
Sn 0.1586 0.5991 0.5248 [8 per cell]  1 Sn 2.96, 1 Ca 3.25
Sn 0.2069 0.2500 0.3867 [4 per cell]  1 Sn 2.91, 5 Ca 3.13-3.18



Record 7
VASP calculation (PBE) on an optimized crystal structure of Si2Ir3.

Output
total DFT energy (no corrections)	-7.67	eV/atom

abc: 4.0351 4.0351 5.4466
angles: 90.00 90.00 120.00
Last column: nearest neighbours and their distance in Å.
Space group P-6m2 (No. 187)
Unique sites:
Si 0.0000 0.0000 0.0000 [1 per cell]  3 Ir 2.33
Si 0.3333 0.6667 0.5000 [1 per cell]  8 Ir 2.65-2.72
Ir 0.3333 0.6667 0.0000 [1 per cell]  3 Si 2.33
Ir 0.6667 0.3333 0.2668 [2 per cell]  4 Ir 2.54-2.75, 6 Si 2.65-2.75



Record 8
VASP calculation (PBE) on an optimized crystal structure of Ba4MgTl8O16.

Output
total DFT energy (no corrections)	-5.00	eV/atom

abc: 10.5338 3.6270 12.8949
angles: 90.00 91.04 90.00
Last column: nearest neighbours and their distance in Å.
Space group Pm (No. 6)
Unique sites:
Ba 0.0000 0.0000 0.0000 [1 per cell]  5 O 2.66-2.85
Ba 0.0101 0.5000 0.5328 [1 per cell]  8 O 2.70-2.87
Ba 0.4755 0.5000 0.7055 [1 per cell]  7 O 2.71-2.94
Ba 0.4872 0.0000 0.2045 [1 per cell]  5 O 2.62-2.80
Mg 0.7138 0.5000 0.0993 [1 per cell]  4 O 1.92-2.05
Tl 0.1696 0.0000 0.7596 [1 per cell]  6 O 2.30-2.46
Tl 0.1708 0.0000 0.2540 [1 per cell]  6 O 2.33-2.52
Tl 0.3203 0.5000 0.9686 [1 per cell]  6 O 2.31-2.45
Tl 0.3220 0.5000 0.4655 [1 per cell]  5 O 2.28-2.41
Tl 0.6532 0.0000 0.9287 [1 per cell]  2 O 2.12-2.31
Tl 0.6731 0.0000 0.4930 [1 per cell]  4 O 2.31-2.50
Tl 0.8248 0.5000 0.7461 [1 per cell]  4 O 2.16-2.40
Tl 0.8573 0.5000 0.2942 [1 per cell]  4 O 2.15-2.27
O 0.0338 0.5000 0.2008 [1 per cell]  3 Tl 2.23-2.41
O 0.1258 0.5000 0.8833 [1 per cell]  3 Tl 2.31-2.46
O 0.1751 0.0000 0.4344 [1 per cell]  3 Tl 2.33-2.41
O 0.2234 0.5000 0.6528 [1 per cell]  2 Tl 2.35
O 0.2690 0.0000 0.0770 [1 per cell]  3 Tl 2.36-2.52
O 0.3251 0.5000 0.2886 [1 per cell]  3 Tl 2.28-2.47
O 0.3668 0.0000 0.8471 [1 per cell]  3 Tl 2.34-2.45
O 0.4465 0.0000 0.5273 [1 per cell]  3 Tl 2.37-2.43
O 0.5467 0.5000 0.0155 [1 per cell]  1 Mg 2.05
O 0.6540 0.0000 0.7642 [1 per cell]  1 Tl 2.12
O 0.6604 0.5000 0.2467 [1 per cell]  1 Mg 1.99, 1 Tl 2.15
O 0.7489 0.5000 0.5862 [1 per cell]  3 Tl 2.20-2.31
O 0.7699 0.0000 0.0821 [1 per cell]  2 Mg 1.92
O 0.8174 0.5000 0.9137 [1 per cell]  1 Tl 2.16
O 0.8788 0.0000 0.3989 [1 per cell]  3 Tl 2.27-2.50
O 0.9624 0.0000 0.7001 [1 per cell]  3 Tl 2.30-2.40



Record 9
VASP calculation (PBE) on an optimized crystal structure of YAgS2.

Output
total DFT energy (no corrections)	-5.71	eV/atom

abc: 7.6679 7.6606 12.8539
angles: 90.00 90.09 90.00
Last column: nearest neighbours and their distance in Å.
Space group P2_1 (No. 4)
Unique sites:
Y 0.0027 0.0000 0.2466 [2 per cell]  6 S 2.75-2.78
Y 0.2474 0.7544 0.5033 [2 per cell]  6 S 2.75-2.78
Y 0.2540 0.2526 0.0046 [2 per cell]  6 S 2.75-2.78
Y 0.4958 0.0086 0.7471 [2 per cell]  6 S 2.74-2.79
Ag 0.0044 0.0062 0.6940 [2 per cell]  2 S 2.47-2.48
Ag 0.2455 0.7555 0.0379 [2 per cell]  2 S 2.46
Ag 0.2551 0.2547 0.5353 [2 per cell]  2 S 2.46
Ag 0.4965 0.0057 0.2051 [2 per cell]  2 S 2.46-2.47
S 0.0195 0.9836 0.0310 [2 per cell]  1 Ag 2.46, 1 Y 2.76
S 0.0248 0.4789 0.5380 [2 per cell]  1 Ag 2.46, 2 Y 2.75-2.76
S 0.2256 0.7762 0.7187 [2 per cell]  1 Ag 2.47, 1 Y 2.76
S 0.2273 0.7297 0.2887 [2 per cell]  1 Ag 2.48, 3 Y 2.75-2.77
S 0.2725 0.2340 0.2205 [2 per cell]  1 Ag 2.46
S 0.2737 0.2802 0.7898 [2 per cell]  1 Ag 2.47, 2 Y 2.74-2.75
S 0.4741 0.5297 0.0381 [2 per cell]  1 Ag 2.46, 2 Y 2.75
S 0.4789 0.0252 0.5307 [2 per cell]  1 Ag 2.46, 1 Y 2.75



Record 10
VASP calculation (PBE) on an optimized crystal structure of BaNb2Bi2O9.

Output
piezoelectric modulus e_max	6.81	C/m²
total DFT energy (no corrections)	-7.52	eV/atom

abc: 25.4706 5.7237 5.7603
angles: 90.00 90.00 90.00
Last column: nearest neighbours and their distance in Å.
Space group Cmc2_1 (No. 36)
Unique sites:
Ba 0.0000 0.2483 0.0000 [4 per cell]  12 O 2.77-2.99
Nb 0.0854 0.2517 0.5123 [8 per cell]  3 O 1.91-1.93
Bi 0.2014 0.2765 0.1080 [8 per cell]  3 O 2.18-2.34
O 0.0000 0.2351 0.4826 [4 per cell]  2 Nb 2.19
O 0.0752 0.4967 0.7361 [8 per cell]  1 Nb 1.92
O 0.0831 0.0025 0.2323 [8 per cell]  2 Nb 1.93-2.15
O 0.1590 0.2944 0.4687 [8 per cell]  1 Nb 1.91
O 0.2485 0.0147 0.3037 [8 per cell]  2 Bi 2.18-2.23



Record 11
VASP calculation (PBE) on an optimized crystal structure of Al11InO17.

Output
total DFT energy (no corrections)	-7.31	eV/atom

abc: 5.6561 5.6561 23.0617
angles: 90.00 90.00 120.00
Last column: nearest neighbours and their distance in Å.
Space group P6_3/mmc (No. 194)
Unique sites:
Al 0.0000 0.0000 0.0000 [2 per cell]  6 O 1.91
Al 0.1673 0.3347 0.1056 [12 per cell]  4 O 1.82-2.00
Al 0.3333 0.6667 0.5246 [4 per cell]  4 O 1.82-1.84
Al 0.3333 0.6667 0.6754 [4 per cell]  4 O 1.72-1.80
In 0.3333 0.6667 0.2500 [2 per cell]  9 O 2.93-3.27
O 0.0000 0.0000 0.1397 [4 per cell]  3 Al 1.82
O 0.0031 0.5016 0.1441 [12 per cell]  3 Al 1.80-1.85
O 0.1572 0.3143 0.5492 [12 per cell]  2 Al 1.82-1.91
O 0.3333 0.6667 0.0551 [4 per cell]  4 Al 1.84-2.00
O 0.3333 0.6667 0.7500 [2 per cell]  2 Al 1.72



Record 12
VASP calculation (PBE) on an optimized crystal structure of Li4Ga4P4O17F3.

Output
total DFT energy (no corrections)	-6.30	eV/atom

abc: 6.8339 7.4545 7.6452
angles: 116.41 90.82 90.69
Last column: nearest neighbours and their distance in Å.
Space group P1 (No. 1)
Unique sites:
Li 0.0000 0.0000 0.0000 [1 per cell]  1 F 1.91, 2 O 2.02-2.13
Li 0.1893 0.3654 0.9378 [1 per cell]  1 F 1.92, 2 O 2.04-2.13
Li 0.5015 0.4974 0.5008 [1 per cell]  1 F 1.92, 2 O 2.04-2.12
Li 0.6909 0.8698 0.4408 [1 per cell]  4 O 1.93-2.16
Ga 0.0931 0.1825 0.4682 [1 per cell]  4 O 1.94-1.97, 2 F 1.98-1.99
Ga 0.3462 0.9321 0.7200 [1 per cell]  4 O 1.93-1.99, 2 F 1.98
Ga 0.5997 0.6800 0.9723 [1 per cell]  5 O 1.93-1.98, 1 F 2.01
Ga 0.8427 0.4372 0.2158 [1 per cell]  5 O 1.93-2.01, 1 F 2.01
P 0.2409 0.7152 0.2637 [1 per cell]  4 O 1.54-1.57
P 0.4473 0.1496 0.1746 [1 per cell]  4 O 1.53-1.57
P 0.7411 0.2145 0.7614 [1 per cell]  4 O 1.53-1.57
P 0.9504 0.6481 0.6742 [1 per cell]  4 O 1.53-1.56
O 0.0720 0.4673 0.6502 [1 per cell]  1 P 1.53
O 0.0805 0.8285 0.6932 [1 per cell]  1 P 1.55
O 0.1120 0.5342 0.2440 [1 per cell]  1 P 1.55
O 0.1177 0.8960 0.2883 [1 per cell]  1 P 1.54
O 0.2950 0.0949 0.0015 [1 per cell]  1 P 1.57
O 0.3384 0.2380 0.3719 [1 per cell]  1 P 1.56
O 0.3491 0.6264 0.0658 [1 per cell]  1 P 1.56
O 0.3932 0.7715 0.4364 [1 per cell]  1 P 1.57
O 0.5690 0.9687 0.1475 [1 per cell]  1 P 1.53
O 0.5786 0.3294 0.1953 [1 per cell]  1 P 1.55
O 0.6106 0.0343 0.7426 [1 per cell]  1 P 1.55
O 0.6191 0.3945 0.7847 [1 per cell]  1 P 1.53
O 0.7403 0.6600 0.1827 [1 per cell]  2 Ga 1.93, 1 Li 1.93
O 0.7965 0.5919 0.5043 [1 per cell]  1 P 1.56
O 0.8437 0.7398 0.8737 [1 per cell]  1 P 1.56
O 0.8501 0.1249 0.5641 [1 per cell]  1 P 1.56
O 0.8943 0.2670 0.9329 [1 per cell]  1 P 1.57
F 0.2448 0.1607 0.6824 [1 per cell]  1 Li 1.92, 2 Ga 1.98-1.99
F 0.4466 0.7034 0.7566 [1 per cell]  1 Li 1.92, 2 Ga 1.98-2.01
F 0.9445 0.2054 0.2545 [1 per cell]  1 Li 1.91, 2 Ga 1.98-2.01



no.,formation energy (eV/atom)
1,-0.8707
2,-0.1692
3,-3.4059
4,-0.1246
5,-0.0078
6,-0.6397
7,-0.1971
8,-1.6800
9,-1.5716
10,-2.6459
11,-3.2933
12,-2.6073